No. 1
Below is crystalline Lu5Pt3 at its relaxed geometry, with properties calculated at the PBE level.

Results
crystal system: hexagonal
electronic total energy: -98.9 eV for the cell shown

Unit cell a=8.3191 b=8.3191 c=5.9997 alpha=90.00 beta=90.00 gamma=120.00
Space group P6_3/mcm (No. 193)
Symmetry-distinct sites (fractional):
Lu1 0.0000 0.2486 0.2500
Lu2 0.3333 0.6667 0.0000
Pt1 0.0000 0.3950 0.7500

No. 2
Below is crystalline Mg2TiV3S8 at its relaxed geometry, with properties calculated at the PBE level.

Results
energy with MP2020 corrections: -181.1 eV for the cell shown
crystal system: monoclinic
electronic total energy: -173.0 eV for the cell shown
magnetization: 14.00 μB per cell

Unit cell a=12.456 b=7.340 c=7.215 alpha=90.00 beta=124.41 gamma=90.00
Space group C2/m (No. 12)
Symmetry-distinct sites (fractional):
Mg1 0.125 0.000 0.374
Ti1 0.000 0.500 0.000
V1 0.000 0.500 0.500
V2 0.250 0.250 0.000
S1 0.011 0.271 0.760
S2 0.238 0.500 0.763
S3 0.240 0.500 0.218

No. 3
Below is crystalline FeSb2S4 at its relaxed geometry, with properties calculated at the PBE level.

Results
energy with MP2020 corrections: -147.0 eV for the cell shown
crystal system: orthorhombic
electronic total energy: -138.9 eV for the cell shown
magnetization: 0.00 μB per cell

Unit cell a=11.295 b=3.632 c=13.739 alpha=90.00 beta=90.00 gamma=90.00
Space group Pnma (No. 62)
Symmetry-distinct sites (fractional):
Fe1 0.170 0.250 0.163
Sb1 0.034 0.250 0.611
Sb2 0.149 0.750 0.925
S1 0.061 0.750 0.102
S2 0.096 0.250 0.313
S3 0.216 0.250 0.719
S4 0.233 0.750 0.518

No. 4
Below is crystalline Co3Te at its relaxed geometry, with properties calculated at the PBE level.

Results
energy with MP2020 corrections: -48.0 eV for the cell shown
crystal system: tetragonal
electronic total energy: -47.2 eV for the cell shown
magnetization: 5.82 μB per cell

Unit cell a=3.752 b=3.752 c=7.324 alpha=90.00 beta=90.00 gamma=90.00
Space group I4/mmm (No. 139)
Symmetry-distinct sites (fractional):
Co1 0.000 0.000 0.000
Co2 0.000 0.500 0.250
Te1 0.000 0.000 0.500